First-principles (PBE+U) data for an optimized crystal structure of Fe3O4, as listed in the Materials Project database.

```
data_Fe3O4
_chemical_formula_sum 'Fe6 O8'
_cell_length_a 2.9427
_cell_length_b 5.0988
_cell_length_c 9.9903
_cell_angle_alpha 89.89
_cell_angle_beta 89.77
_cell_angle_gamma 73.28
_symmetry_space_group_name_H-M 'P 1'
_symmetry_Int_Tables_number 1
_symmetry_space_group_name_Hall 'P 1'
loop_
_atom_site_label
_atom_site_type_symbol
_atom_site_fract_x
_atom_site_fract_y
_atom_site_fract_z
Fe1 Fe 0.0000 0.0000 0.0000
Fe2 Fe 0.0024 0.9781 0.6513
Fe3 Fe 0.2606 0.4732 0.1494
Fe4 Fe 0.2674 0.4555 0.5009
Fe5 Fe 0.5133 0.9631 0.3159
Fe6 Fe 0.7471 0.4897 0.8155
O1 O 0.0902 0.8050 0.8303
O2 O 0.1668 0.6555 0.3294
O3 O 0.3606 0.2814 0.9616
O4 O 0.3620 0.2581 0.6861
O5 O 0.6246 0.7462 0.0858
O6 O 0.6391 0.7080 0.5870
O7 O 0.8967 0.1997 0.1899
O8 O 0.9064 0.1775 0.4621
```

The total magnetization comes out at 14.000 μB/f.u. Its energy of formation from the pure elements is -1.5349 eV/atom.